LiNiP3O9: relaxed, PBE+U.

Calculated values
* theoretical density: 2.96 g/cm3
* space-group type: P2_12_12_1
* total energy after the MP2020 corrections: -408.7 eV/cell
* V: 169.7 Å³/f.u.
* formation enthalpy at 0 K: -2.41 eV/atom
* spin magnetization: 2.00 μB/f.u.

a b c (Å): 5.1937 10.2167 12.7936
angles (deg): 90.00 90.00 90.00
Closest atoms and distances in Å follow each position.
Fractional coordinates of all 56 atoms:
Li (0.0727, 0.0623, 0.3994)  5 O 2.15-2.36
Li (0.4273, 0.9377, 0.8994)  5 O 2.15-2.36
Li (0.5727, 0.4377, 0.6006)  5 O 2.15-2.36
Li (0.9273, 0.5623, 0.1006)  5 O 2.15-2.36
Ni (0.0962, 0.3873, 0.3460)  4 O 1.97-2.12
Ni (0.4038, 0.6127, 0.8460)  4 O 1.97-2.12
Ni (0.5962, 0.1127, 0.6540)  4 O 1.97-2.12
Ni (0.9038, 0.8873, 0.1540)  4 O 1.97-2.12
P (0.0813, 0.2716, 0.6919)  4 O 1.50-1.60
P (0.1057, 0.6271, 0.6312)  4 O 1.48-1.63
P (0.1153, 0.9167, 0.6271)  4 O 1.50-1.64
P (0.3847, 0.0833, 0.1271)  4 O 1.50-1.64
P (0.3943, 0.3729, 0.1312)  4 O 1.48-1.63
P (0.4187, 0.7284, 0.1919)  4 O 1.50-1.60
P (0.5813, 0.2284, 0.3081)  4 O 1.50-1.60
P (0.6057, 0.8729, 0.3688)  4 O 1.48-1.63
P (0.6153, 0.5833, 0.3729)  4 O 1.50-1.64
P (0.8847, 0.4167, 0.8729)  4 O 1.50-1.64
P (0.8943, 0.1271, 0.8688)  4 O 1.48-1.63
P (0.9187, 0.7716, 0.8081)  4 O 1.50-1.60
O (0.0222, 0.0314, 0.9381)  1 P 1.48
O (0.0404, 0.5080, 0.9394)  1 P 1.50
O (0.0635, 0.3946, 0.7689)  2 P 1.60-1.64
O (0.0953, 0.1537, 0.7735)  2 P 1.60-1.63
O (0.1173, 0.0459, 0.1613)  1 P 1.51
O (0.1213, 0.7714, 0.5774)  2 P 1.62-1.63
O (0.1350, 0.4035, 0.1818)  1 P 1.53
O (0.1642, 0.7292, 0.1359)  1 P 1.50
O (0.1669, 0.7638, 0.8699)  1 P 1.51
O (0.3331, 0.2362, 0.3699)  1 P 1.51
O (0.3358, 0.2708, 0.6359)  1 P 1.50
O (0.3650, 0.5965, 0.6818)  1 P 1.53
O (0.3787, 0.2286, 0.0774)  2 P 1.62-1.63
O (0.3827, 0.9541, 0.6613)  1 P 1.51
O (0.4047, 0.8463, 0.2735)  2 P 1.60-1.63
O (0.4365, 0.6054, 0.2689)  2 P 1.60-1.64
O (0.4596, 0.4920, 0.4394)  1 P 1.50
O (0.4778, 0.9686, 0.4381)  1 P 1.48
O (0.5222, 0.4686, 0.0619)  1 P 1.48
O (0.5404, 0.9920, 0.0606)  1 P 1.50
O (0.5635, 0.1054, 0.2311)  2 P 1.60-1.64
O (0.5953, 0.3463, 0.2265)  2 P 1.60-1.63
O (0.6173, 0.4541, 0.8387)  1 P 1.51
O (0.6213, 0.7286, 0.4226)  2 P 1.62-1.63
O (0.6350, 0.0965, 0.8182)  1 P 1.53
O (0.6642, 0.7708, 0.8641)  1 P 1.50
O (0.6669, 0.7362, 0.1301)  1 P 1.51
O (0.8331, 0.2638, 0.6301)  1 P 1.51
O (0.8358, 0.2292, 0.3641)  1 P 1.50
O (0.8650, 0.9035, 0.3182)  1 P 1.53
O (0.8787, 0.2714, 0.9226)  2 P 1.62-1.63
O (0.8827, 0.5459, 0.3387)  1 P 1.51
O (0.9047, 0.6537, 0.7265)  2 P 1.60-1.63
O (0.9365, 0.8946, 0.7311)  2 P 1.60-1.64
O (0.9596, 0.0080, 0.5606)  1 P 1.50
O (0.9778, 0.5314, 0.5619)  1 P 1.48

Li2TiFeO4: relaxed, PBE+U.

Calculated values
* theoretical density: 3.90 g/cm3
* total energy after the MP2020 corrections: -121.1 eV/cell
* V: 77.3 Å³/f.u.
* formation enthalpy at 0 K: -2.57 eV/atom
* spin magnetization: 0.00 μB/f.u.

a b c (Å): 4.3090 7.7976 5.3616
angles (deg): 94.46 66.10 73.94
Closest atoms and distances in Å follow each position.
Fractional coordinates of all 16 atoms:
O (0.8529, 0.8609, 0.4100)  1 Ti 1.94, 3 Li 2.01-2.13, 1 Fe 2.14
O (0.5029, 0.0001, 0.9911)  2 Ti 1.95-2.09, 1 Li 2.10
O (0.6326, 0.6445, 0.0584)  1 Ti 1.96, 2 Fe 2.04-2.05, 1 Li 2.14
O (0.3529, 0.3608, 0.9100)  1 Ti 1.94, 3 Li 2.01-2.14, 1 Fe 2.14
O (0.7271, 0.2523, 0.2442)  1 Ti 1.85, 2 Li 2.04-2.05
O (0.1327, 0.1444, 0.5586)  1 Ti 1.97, 2 Fe 2.04-2.05, 1 Li 2.14
O (0.2275, 0.7522, 0.7444)  1 Ti 1.85, 2 Li 2.04-2.05
O (0.0031, 0.5002, 0.4910)  2 Ti 1.95-2.09, 1 Li 2.10
Li (0.1211, 0.6251, 0.1220)  5 O 2.01-2.23
Li (0.4993, 0.4830, 0.5557)  5 O 2.04-2.27
Li (0.6210, 0.1251, 0.6221)  5 O 2.01-2.23
Li (0.9995, 0.9828, 0.0556)  5 O 2.04-2.27
Fe (0.3679, 0.8727, 0.3777)  5 O 2.04-2.18
Fe (0.8678, 0.3726, 0.8776)  5 O 2.04-2.18
Ti (0.2957, 0.2618, 0.2406)  4 O 1.85-1.97
Ti (0.7960, 0.7618, 0.7408)  4 O 1.85-1.96

Q: theoretical density of number 2 (Li2TiFeO4)?
A: 3.90 g/cm3

Copy entry 2 word for word.
Li2TiFeO4: relaxed, PBE+U.

Calculated values
* theoretical density: 3.90 g/cm3
* total energy after the MP2020 corrections: -121.1 eV/cell
* V: 77.3 Å³/f.u.
* formation enthalpy at 0 K: -2.57 eV/atom
* spin magnetization: 0.00 μB/f.u.

a b c (Å): 4.3090 7.7976 5.3616
angles (deg): 94.46 66.10 73.94
Closest atoms and distances in Å follow each position.
Fractional coordinates of all 16 atoms:
O (0.8529, 0.8609, 0.4100)  1 Ti 1.94, 3 Li 2.01-2.13, 1 Fe 2.14
O (0.5029, 0.0001, 0.9911)  2 Ti 1.95-2.09, 1 Li 2.10
O (0.6326, 0.6445, 0.0584)  1 Ti 1.96, 2 Fe 2.04-2.05, 1 Li 2.14
O (0.3529, 0.3608, 0.9100)  1 Ti 1.94, 3 Li 2.01-2.14, 1 Fe 2.14
O (0.7271, 0.2523, 0.2442)  1 Ti 1.85, 2 Li 2.04-2.05
O (0.1327, 0.1444, 0.5586)  1 Ti 1.97, 2 Fe 2.04-2.05, 1 Li 2.14
O (0.2275, 0.7522, 0.7444)  1 Ti 1.85, 2 Li 2.04-2.05
O (0.0031, 0.5002, 0.4910)  2 Ti 1.95-2.09, 1 Li 2.10
Li (0.1211, 0.6251, 0.1220)  5 O 2.01-2.23
Li (0.4993, 0.4830, 0.5557)  5 O 2.04-2.27
Li (0.6210, 0.1251, 0.6221)  5 O 2.01-2.23
Li (0.9995, 0.9828, 0.0556)  5 O 2.04-2.27
Fe (0.3679, 0.8727, 0.3777)  5 O 2.04-2.18
Fe (0.8678, 0.3726, 0.8776)  5 O 2.04-2.18
Ti (0.2957, 0.2618, 0.2406)  4 O 1.85-1.97
Ti (0.7960, 0.7618, 0.7408)  4 O 1.85-1.96

Q: Among the records above, which one has the highest V?
A: LiNiP3O9

Q: theoretical density of number 1 (LiNiP3O9)?
A: 2.96 g/cm3